Ca2Mn2Si4H6O17 | PBE with a Hubbard U | optimized geometry

```
data_Ca2Mn2Si4H6O17
_cell_length_a 5.3555
_cell_length_b 5.5821
_cell_length_c 12.0917
_cell_angle_alpha 88.27
_cell_angle_beta 87.39
_cell_angle_gamma 68.43
_space_group_name_H-M_alt 'P 1'
_space_group_IT_number 1
_space_group_name_Hall 'P 1'
loop_
_atom_site_label
_atom_site_type_symbol
_atom_site_fract_x
_atom_site_fract_y
_atom_site_fract_z
Ca1 Ca 0.0000 0.0000 0.0000
Ca2 Ca 0.3912 0.4019 0.4671
Mn1 Mn 0.1950 0.7040 0.7332
Mn2 Mn 0.6937 0.2032 0.7336
Si1 Si 0.5844 0.6106 0.1296
Si2 Si 0.6764 0.6486 0.8851
Si3 Si 0.7130 0.7576 0.5815
Si4 Si 0.7801 0.8197 0.3368
H1 H 0.1000 0.0999 0.5432
H2 H 0.1720 0.6442 0.2411
H3 H 0.2632 0.3917 0.0474
H4 H 0.2972 0.2944 0.9226
H5 H 0.7522 0.2302 0.2254
H6 H 0.9926 0.1362 0.4187
O1 O 0.0358 0.6221 0.6054
O2 O 0.0602 0.0516 0.6844
O3 O 0.1038 0.6378 0.3215
O4 O 0.1415 0.1380 0.4652
O5 O 0.2696 0.6670 0.1155
O6 O 0.2829 0.2403 0.0011
O7 O 0.3268 0.3568 0.7825
O8 O 0.3550 0.7884 0.8600
O9 O 0.5383 0.6028 0.6477
O10 O 0.6007 0.0668 0.6012
O11 O 0.6223 0.7736 0.2326
O12 O 0.6788 0.6978 0.4501
O13 O 0.7178 0.7018 0.0165
O14 O 0.7257 0.1223 0.3486
O15 O 0.7667 0.2997 0.1469
O16 O 0.7864 0.3389 0.8665
O17 O 0.8524 0.8023 0.8190
```

Sr9Ni7O21 | PBE with a Hubbard U | optimized geometry

```
data_Sr9Ni7O21
_cell_length_a 9.5309
_cell_length_b 9.5309
_cell_length_c 36.1112
_cell_angle_alpha 90.00
_cell_angle_beta 90.00
_cell_angle_gamma 120.00
_space_group_name_H-M_alt 'R -3 c'
_space_group_IT_number 167
_space_group_name_Hall '-R 3 2"c'
loop_
_atom_site_label
_atom_site_type_symbol
_atom_site_fract_x
_atom_site_fract_y
_atom_site_fract_z
Sr1 Sr 0.0000 0.3312 0.2500
Sr2 Sr 0.0020 0.3570 0.3621
Ni1 Ni 0.0000 0.0000 0.0000
Ni2 Ni 0.0000 0.0000 0.0684
Ni3 Ni 0.0000 0.0000 0.1430
Ni4 Ni 0.0000 0.0000 0.2154
O1 O 0.0000 0.1500 0.7500
O2 O 0.0075 0.1585 0.4020
O3 O 0.0067 0.1620 0.3155
O4 O 0.0113 0.1591 0.5324
```

Li6CrO4 | PBE with a Hubbard U | optimized geometry

```
data_Li6CrO4
_cell_length_a 6.7784
_cell_length_b 6.7807
_cell_length_c 4.6175
_cell_angle_alpha 90.00
_cell_angle_beta 90.00
_cell_angle_gamma 90.00
_space_group_name_H-M_alt 'P m m n'
_space_group_IT_number 59
loop_
_space_group_symop_operation_xyz
'x,y,z'
'-x,-y,-z'
'-x+1/2,-y+1/2,z'
'x+1/2,y+1/2,-z'
'x+1/2,-y,-z'
'-x+1/2,y,z'
'-x,y+1/2,-z'
'x,-y+1/2,z'
loop_
_atom_site_label
_atom_site_type_symbol
_atom_site_fract_x
_atom_site_fract_y
_atom_site_fract_z
Li1 Li 0.0335 0.0332 0.2502
Li2 Li 0.2500 0.7500 0.1867
Li3 Li 0.2500 0.7500 0.6867
Cr1 Cr 0.2500 0.2500 0.7505
O1 O 0.0203 0.7500 0.4484
O2 O 0.2500 0.5199 0.9483
```

Li4Nb3V3Co2O16 | PBE with a Hubbard U | optimized geometry

```
data_Li4Nb3V3Co2O16
_cell_length_a 10.5263
_cell_length_b 6.0296
_cell_length_c 9.7874
_cell_angle_alpha 90.00
_cell_angle_beta 90.01
_cell_angle_gamma 90.00
_space_group_name_H-M_alt 'C 1 m 1'
_space_group_IT_number 8
_space_group_name_Hall 'C -2y'
loop_
_atom_site_label
_atom_site_type_symbol
_atom_site_fract_x
_atom_site_fract_y
_atom_site_fract_z
Li1 Li 0.0000 0.0000 0.0000
Li2 Li 0.0048 0.0000 0.4918
Li3 Li 0.1794 0.5000 0.1077
Li4 Li 0.3479 0.0000 0.5926
Nb1 Nb 0.1004 0.2528 0.7766
Nb2 Nb 0.1835 0.0000 0.2741
V1 V 0.3432 0.5000 0.7806
V2 V 0.4289 0.2409 0.2778
Co1 Co 0.1822 0.5000 0.4734
Co2 Co 0.3551 0.0000 0.0111
O1 O 0.0137 0.0000 0.6716
O2 O 0.0168 0.0000 0.1794
O3 O 0.0267 0.5000 0.6597
O4 O 0.0924 0.2386 0.3901
O5 O 0.1699 0.0000 0.8938
O6 O 0.1735 0.5000 0.8961
O7 O 0.2533 0.2708 0.6653
O8 O 0.2699 0.2237 0.1561
O9 O 0.3364 0.0000 0.3951
O10 O 0.3533 0.5000 0.3826
O11 O 0.4338 0.2620 0.8857
O12 O 0.4960 0.0000 0.1614
```

Final energy, respectively: -208.43; -1217.96; -116.03; -416.28 eV per cell.